# 1
Material: Sr4CaYCu6Pb4O16
Method: DFT, PBE
State: relaxed

Results
Mass density (Mg/m³): 6.9
SG: P-1
Calculated volume (A^3/atom): 14.6
Uncorrected energy (eV per atom): -5.83
Corrected total energy (MP2020 scheme) (eV for the cell shown): -197.62

Cell lengths 5.409, 5.435, 15.919 Å; angles 89.84, 89.88, 89.18 degrees
Element x y z (fractional)
1 Sr 0.001 0.001 0.280
2 Sr 0.499 0.499 0.717
3 Sr 0.501 0.501 0.283
4 Sr 0.999 0.999 0.720
5 Ca 0.500 0.500 0.500
6 Y 0.000 0.000 0.500
7 Cu 0.000 0.000 0.000
8 Cu 0.000 0.500 0.395
9 Cu 0.000 0.500 0.605
10 Cu 0.500 0.001 0.395
11 Cu 0.500 0.500 0.000
12 Cu 0.500 0.999 0.605
13 Pb 0.007 0.487 0.888
14 Pb 0.488 0.003 0.888
15 Pb 0.512 0.997 0.112
16 Pb 0.993 0.513 0.112
17 O 0.005 0.493 0.249
18 O 0.032 0.049 0.885
19 O 0.244 0.244 0.595
20 O 0.245 0.245 0.407
21 O 0.246 0.754 0.404
22 O 0.246 0.754 0.596
23 O 0.454 0.441 0.886
24 O 0.496 0.009 0.249
25 O 0.504 0.991 0.751
26 O 0.546 0.559 0.114
27 O 0.754 0.246 0.404
28 O 0.754 0.246 0.596
29 O 0.755 0.755 0.593
30 O 0.756 0.756 0.405
31 O 0.968 0.951 0.115
32 O 0.995 0.507 0.751

***

# 2
Material: Sr4CaYCu6Pb4O16
Method: DFT, PBE
State: relaxed

Results
Mass density (Mg/m³): 6.9
SG: I4/mmm
Calculated volume (A^3/atom): 14.6
Uncorrected energy (eV per atom): -5.83
Corrected total energy (MP2020 scheme) (eV for the cell shown): -197.46

Cell lengths 16.478, 16.478, 16.478 Å; angles 161.12, 161.12, 26.83 degrees
Element x y z (fractional)
1 Sr 0.109 0.109 0.000
2 Sr 0.390 0.390 0.000
3 Sr 0.610 0.610 0.000
4 Sr 0.891 0.891 0.000
5 Ca 0.000 0.000 0.000
6 Y 0.500 0.500 0.000
7 Cu 0.053 0.553 0.500
8 Cu 0.250 0.250 0.000
9 Cu 0.447 0.947 0.500
10 Cu 0.553 0.053 0.500
11 Cu 0.750 0.750 0.000
12 Cu 0.947 0.447 0.500
13 Pb 0.194 0.694 0.500
14 Pb 0.306 0.806 0.500
15 Pb 0.694 0.194 0.500
16 Pb 0.806 0.306 0.500
17 O 0.126 0.626 0.500
18 O 0.192 0.192 0.000
19 O 0.207 0.207 0.510
20 O 0.207 0.697 0.000
21 O 0.303 0.303 0.510
22 O 0.303 0.793 0.000
23 O 0.308 0.308 0.000
24 O 0.374 0.874 0.500
25 O 0.626 0.126 0.500
26 O 0.692 0.692 0.000
27 O 0.697 0.207 0.000
28 O 0.697 0.697 0.490
29 O 0.793 0.303 0.000
30 O 0.793 0.793 0.490
31 O 0.808 0.808 0.000
32 O 0.874 0.374 0.500

***

# 3
Material: Sr2CaPr3Cu4O12
Method: DFT, PBE
State: relaxed

Results
Mass density (Mg/m³): 6.2
SG: Amm2
Calculated volume (A^3/atom): 13.1
Uncorrected energy (eV per atom): -6.46
Corrected total energy (MP2020 scheme) (eV for the cell shown): -150.28

Cell lengths 5.411, 10.211, 10.211 Å; angles 30.78, 90.00, 90.00 degrees
Element x y z (fractional)
1 Sr 0.000 0.000 0.000
2 Sr 0.500 0.320 0.320
3 Ca 0.000 0.824 0.824
4 Pr 0.000 0.645 0.645
5 Pr 0.500 0.143 0.143
6 Pr 0.500 0.498 0.498
7 Cu 0.000 0.233 0.233
8 Cu 0.000 0.410 0.410
9 Cu 0.500 0.736 0.736
10 Cu 0.500 0.910 0.910
11 O 0.000 0.125 0.125
12 O 0.000 0.526 0.526
13 O 0.247 0.491 0.977
14 O 0.247 0.977 0.491
15 O 0.250 0.156 0.655
16 O 0.250 0.655 0.156
17 O 0.500 0.027 0.027
18 O 0.500 0.616 0.616
19 O 0.750 0.156 0.655
20 O 0.750 0.655 0.156
21 O 0.753 0.491 0.977
22 O 0.753 0.977 0.491

***

# 4
Material: Ca5Cu2Rh2O12
Method: DFT, PBE
State: relaxed

Results
Mass density (Mg/m³): 4.4
SG: P1
Calculated volume (A^3/atom): 13.1
Uncorrected energy (eV per atom): -6.12
Corrected total energy (MP2020 scheme) (eV for the cell shown): -136.68

Cell lengths 6.407, 6.534, 6.571 Å; angles 91.90, 90.53, 90.99 degrees
Element x y z (fractional)
1 Ca 0.000 0.000 0.000
2 Ca 0.111 0.867 0.510
3 Ca 0.487 0.200 0.817
4 Ca 0.607 0.705 0.659
5 Ca 0.864 0.475 0.143
6 Cu 0.487 0.768 0.213
7 Cu 0.997 0.406 0.583
8 Rh 0.236 0.595 0.899
9 Rh 0.731 0.093 0.396
10 O 0.026 0.203 0.376
11 O 0.159 0.315 0.967
12 O 0.193 0.726 0.184
13 O 0.283 0.488 0.614
14 O 0.302 0.887 0.813
15 O 0.450 0.956 0.428
16 O 0.537 0.578 0.996
17 O 0.691 0.167 0.107
18 O 0.710 0.385 0.516
19 O 0.777 0.798 0.287
20 O 0.799 0.013 0.685
21 O 0.945 0.621 0.779

***

# 5
Material: Ca2CuRhO6
Method: DFT, PBE
State: relaxed

Results
Mass density (Mg/m³): 4.2
SG: C2
Calculated volume (A^3/atom): 13.4
Uncorrected energy (eV per atom): -5.97
Corrected total energy (MP2020 scheme) (eV for the cell shown): -127.60

Cell lengths 6.495, 6.495, 6.362 Å; angles 91.35, 91.35, 91.18 degrees
Element x y z (fractional)
1 Ca 0.000 0.000 0.000
2 Ca 0.140 0.488 0.878
3 Ca 0.512 0.860 0.122
4 Ca 0.800 0.200 0.500
5 Cu 0.232 0.768 0.500
6 Cu 0.585 0.415 0.000
7 Rh 0.398 0.102 0.740
8 Rh 0.898 0.602 0.260
9 O 0.018 0.584 0.543
10 O 0.108 0.180 0.701
11 O 0.190 0.725 0.209
12 O 0.275 0.810 0.791
13 O 0.377 0.217 0.035
14 O 0.416 0.982 0.457
15 O 0.513 0.387 0.715
16 O 0.613 0.487 0.285
17 O 0.677 0.030 0.821
18 O 0.783 0.623 0.965
19 O 0.820 0.892 0.299
20 O 0.970 0.323 0.179

***

# 6
Material: CaCu3Ru4O12
Method: DFT, PBE
State: relaxed

Results
Mass density (Mg/m³): 6.5
SG: Im-3
Calculated volume (A^3/atom): 10.5
Uncorrected energy (eV per atom): -6.60
Corrected total energy (MP2020 scheme) (eV for the cell shown): -140.21

Cell lengths 6.495, 6.495, 6.495 Å; angles 109.47, 109.47, 109.47 degrees
Element x y z (fractional)
1 Ca 0.000 0.000 0.000
2 Cu 0.000 0.500 0.500
3 Cu 0.500 0.000 0.500
4 Cu 0.500 0.500 0.000
5 Ru 0.000 0.000 0.500
6 Ru 0.000 0.500 0.000
7 Ru 0.500 0.000 0.000
8 Ru 0.500 0.500 0.500
9 O 0.134 0.306 0.828
10 O 0.172 0.479 0.306
11 O 0.172 0.866 0.694
12 O 0.306 0.172 0.479
13 O 0.306 0.828 0.134
14 O 0.479 0.306 0.172
15 O 0.521 0.694 0.828
16 O 0.694 0.172 0.866
17 O 0.694 0.828 0.521
18 O 0.828 0.134 0.306
19 O 0.828 0.521 0.694
20 O 0.866 0.694 0.172

***

# 7
Material: Ca2CuSO2
Method: DFT, PBE
State: relaxed

Results
Mass density (Mg/m³): 2.9
SG: I4/mmm
Calculated volume (A^3/atom): 20.1
Uncorrected energy (eV per atom): -5.22
Corrected total energy (MP2020 scheme) (eV for the cell shown): -33.19

Cell lengths 8.467, 8.467, 8.467 Å; angles 153.53, 153.53, 37.78 degrees
Element x y z (fractional)
1 Ca 0.183 0.183 0.000
2 Ca 0.817 0.817 0.000
3 Cu 0.500 0.500 0.000
4 S 0.000 0.000 0.000
5 O 0.250 0.750 0.500
6 O 0.750 0.250 0.500

***

# 8
Material: Ca2CuSbO6
Method: DFT, PBE
State: relaxed

Results
Mass density (Mg/m³): 4.8
SG: P2_1/m
Calculated volume (A^3/atom): 12.6
Uncorrected energy (eV per atom): -6.06
Corrected total energy (MP2020 scheme) (eV for the cell shown): -129.50

Cell lengths 5.781, 7.531, 5.915 Å; angles 90.00, 102.82, 90.00 degrees
Element x y z (fractional)
1 Ca 0.029 0.250 0.074
2 Ca 0.448 0.750 0.461
3 Ca 0.552 0.250 0.539
4 Ca 0.971 0.750 0.926
5 Cu 0.000 0.000 0.500
6 Cu 0.000 0.500 0.500
7 Sb 0.500 0.000 0.000
8 Sb 0.500 0.500 0.000
9 O 0.076 0.750 0.556
10 O 0.161 0.039 0.810
11 O 0.161 0.461 0.810
12 O 0.360 0.053 0.266
13 O 0.360 0.447 0.266
14 O 0.402 0.750 0.056
15 O 0.598 0.250 0.944
16 O 0.640 0.553 0.734
17 O 0.640 0.947 0.734
18 O 0.839 0.539 0.190
19 O 0.839 0.961 0.190
20 O 0.924 0.250 0.444

***

- What is the formula in the first record?
  Sr4CaYCu6Pb4O16

***

- The highest uncorrected energy belongs to which entry?
  Ca2CuSO2

***

- Which formula does entry 7 have?
  Ca2CuSO2

***

Copy entry 5 word for word.
Material: Ca2CuRhO6
Method: DFT, PBE
State: relaxed

Results
Mass density (Mg/m³): 4.2
SG: C2
Calculated volume (A^3/atom): 13.4
Uncorrected energy (eV per atom): -5.97
Corrected total energy (MP2020 scheme) (eV for the cell shown): -127.60

Cell lengths 6.495, 6.495, 6.362 Å; angles 91.35, 91.35, 91.18 degrees
Element x y z (fractional)
1 Ca 0.000 0.000 0.000
2 Ca 0.140 0.488 0.878
3 Ca 0.512 0.860 0.122
4 Ca 0.800 0.200 0.500
5 Cu 0.232 0.768 0.500
6 Cu 0.585 0.415 0.000
7 Rh 0.398 0.102 0.740
8 Rh 0.898 0.602 0.260
9 O 0.018 0.584 0.543
10 O 0.108 0.180 0.701
11 O 0.190 0.725 0.209
12 O 0.275 0.810 0.791
13 O 0.377 0.217 0.035
14 O 0.416 0.982 0.457
15 O 0.513 0.387 0.715
16 O 0.613 0.487 0.285
17 O 0.677 0.030 0.821
18 O 0.783 0.623 0.965
19 O 0.820 0.892 0.299
20 O 0.970 0.323 0.179